(1)
VASP calculation (GGA-PBE) on an optimized crystal structure of K2NaGaCl6.

```
data_K2NaGaCl6
_space_group_name_H-M_alt 'F m -3 m'
_space_group_IT_number 225
_space_group_name_Hall '-F 4 2 3'
_cell_length_a 10.262
_cell_length_b 10.262
_cell_length_c 10.262
_cell_angle_alpha 90.00
_cell_angle_beta 90.00
_cell_angle_gamma 90.00
loop_
_atom_site_label
_atom_site_type_symbol
_atom_site_fract_x
_atom_site_fract_y
_atom_site_fract_z
K1 K 0.250 0.250 0.250
Na1 Na 0.000 0.000 0.000
Ga1 Ga 0.000 0.000 0.500
Cl1 Cl 0.000 0.000 0.267
```

Properties
Energy of formation in eV per atom: -1.933



(2)
VASP calculation (GGA-PBE) on an optimized crystal structure of K2MnP2S6.

```
data_K2MnP2S6
_space_group_name_H-M_alt 'P 1 21/c 1'
_space_group_IT_number 14
_cell_length_a 6.194
_cell_length_b 12.332
_cell_length_c 8.849
_cell_angle_alpha 90.00
_cell_angle_beta 121.97
_cell_angle_gamma 90.00
loop_
_space_group_symop_operation_xyz
'x,y,z'
'-x,-y,-z'
'-x,y+1/2,-z+1/2'
'x,-y+1/2,z+1/2'
loop_
_atom_site_label
_atom_site_type_symbol
_atom_site_fract_x
_atom_site_fract_y
_atom_site_fract_z
K1 K 0.191 0.183 0.471
Mn1 Mn 0.500 0.000 0.000
P1 P 0.149 0.536 0.631
S1 S 0.051 0.066 0.751
S2 S 0.285 0.667 0.568
S3 S 0.430 0.077 0.248
```

Properties
Energy of formation in eV per atom: -0.979



(3)
VASP calculation (GGA-PBE) on an optimized crystal structure of Pr2MgSe4.

```
data_Pr2MgSe4
_space_group_name_H-M_alt 'P c a 21'
_space_group_IT_number 29
_cell_length_a 13.692
_cell_length_b 8.205
_cell_length_c 13.691
_cell_angle_alpha 90.00
_cell_angle_beta 90.00
_cell_angle_gamma 90.00
loop_
_space_group_symop_operation_xyz
'x,y,z'
'-x,-y,z+1/2'
'-x+1/2,y,z+1/2'
'x+1/2,-y,z'
loop_
_atom_site_label
_atom_site_type_symbol
_atom_site_fract_x
_atom_site_fract_y
_atom_site_fract_z
Pr1 Pr 0.108 0.114 0.000
Pr2 Pr 0.127 0.616 0.641
Pr3 Pr 0.135 0.369 0.308
Pr4 Pr 0.135 0.869 0.309
Mg1 Mg 0.112 0.615 0.008
Mg2 Mg 0.126 0.120 0.635
Se1 Se 0.010 0.117 0.195
Se2 Se 0.026 0.627 0.182
Se3 Se 0.028 0.616 0.444
Se4 Se 0.048 0.126 0.455
Se5 Se 0.209 0.118 0.811
Se6 Se 0.210 0.618 0.839
Se7 Se 0.232 0.865 0.089
Se8 Se 0.233 0.362 0.092
```

Properties
Energy of formation in eV per atom: -1.931
Distance to the lowest polymorph of the same formula in eV per atom: 0.000



(4)
VASP calculation (GGA-PBE) on an optimized crystal structure of Li3Ce2B3O9.

```
data_Li3Ce2B3O9
_space_group_name_H-M_alt 'P 1 21/c 1'
_space_group_IT_number 14
_cell_length_a 5.885
_cell_length_b 14.334
_cell_length_c 9.459
_cell_angle_alpha 90.00
_cell_angle_beta 113.42
_cell_angle_gamma 90.00
loop_
_space_group_symop_operation_xyz
'x,y,z'
'-x,-y,-z'
'-x,y+1/2,-z+1/2'
'x,-y+1/2,z+1/2'
loop_
_atom_site_label
_atom_site_type_symbol
_atom_site_fract_x
_atom_site_fract_y
_atom_site_fract_z
Li1 Li 0.063 0.102 0.208
Li2 Li 0.405 0.665 0.482
Li3 Li 0.407 0.218 0.208
Ce1 Ce 0.056 0.665 0.692
Ce2 Ce 0.348 0.004 0.660
B1 B 0.112 0.676 0.021
B2 B 0.264 0.015 0.014
B3 B 0.388 0.164 0.472
O1 O 0.044 0.594 0.934
O2 O 0.085 0.739 0.448
O3 O 0.159 0.009 0.854
O4 O 0.211 0.669 0.180
O5 O 0.313 0.101 0.085
O6 O 0.317 0.565 0.602
O7 O 0.322 0.243 0.382
O8 O 0.341 0.076 0.407
O9 O 0.499 0.168 0.631
```

Properties
Energy of formation in eV per atom: -3.044



(5)
VASP calculation (GGA-PBE) on an optimized crystal structure of K6InAs3.

```
data_K6InAs3
_space_group_name_H-M_alt 'P -1'
_space_group_IT_number 2
_cell_length_a 9.154
_cell_length_b 9.256
_cell_length_c 19.960
_cell_angle_alpha 94.02
_cell_angle_beta 95.03
_cell_angle_gamma 119.46
loop_
_space_group_symop_operation_xyz
'x,y,z'
'-x,-y,-z'
loop_
_atom_site_label
_atom_site_type_symbol
_atom_site_fract_x
_atom_site_fract_y
_atom_site_fract_z
K1 K 0.032 0.347 0.069
K2 K 0.045 0.744 0.304
K3 K 0.115 0.097 0.196
K4 K 0.164 0.487 0.431
K5 K 0.206 0.920 0.697
K6 K 0.231 0.231 0.555
K7 K 0.253 0.881 0.502
K8 K 0.285 0.647 0.801
K9 K 0.303 0.017 0.056
K10 K 0.370 0.765 0.194
K11 K 0.379 0.629 0.995
K12 K 0.455 0.493 0.305
In1 In 0.283 0.275 0.875
In2 In 0.456 0.139 0.375
As1 As 0.013 0.309 0.880
As2 As 0.163 0.130 0.380
As3 As 0.241 0.589 0.619
As4 As 0.292 0.993 0.882
As5 As 0.425 0.440 0.131
As6 As 0.445 0.842 0.370
```

Properties
Energy of formation in eV per atom: -0.414



(6)
VASP calculation (GGA-PBE) on an optimized crystal structure of Rb2TlAgCl6.

```
data_Rb2TlAgCl6
_space_group_name_H-M_alt 'F m -3 m'
_space_group_IT_number 225
_space_group_name_Hall '-F 4 2 3'
_cell_length_a 10.659
_cell_length_b 10.659
_cell_length_c 10.659
_cell_angle_alpha 90.00
_cell_angle_beta 90.00
_cell_angle_gamma 90.00
loop_
_atom_site_label
_atom_site_type_symbol
_atom_site_fract_x
_atom_site_fract_y
_atom_site_fract_z
Rb1 Rb 0.250 0.250 0.250
Tl1 Tl 0.000 0.000 0.000
Ag1 Ag 0.000 0.000 0.500
Cl1 Cl 0.000 0.000 0.249
```

Properties
Energy of formation in eV per atom: -1.549



(7)
VASP calculation (GGA-PBE) on an optimized crystal structure of La2CdS4.

```
data_La2CdS4
_space_group_name_H-M_alt 'I -4 2 d'
_space_group_IT_number 122
_space_group_name_Hall 'I -4 2bw'
_cell_length_a 8.592
_cell_length_b 8.592
_cell_length_c 9.009
_cell_angle_alpha 90.00
_cell_angle_beta 90.00
_cell_angle_gamma 90.00
loop_
_atom_site_label
_atom_site_type_symbol
_atom_site_fract_x
_atom_site_fract_y
_atom_site_fract_z
La1 La 0.142 0.250 0.125
Cd1 Cd 0.000 0.000 0.500
S1 S 0.069 0.197 0.813
```

Properties
Energy of formation in eV per atom: -1.944



(8)
VASP calculation (GGA-PBE) on an optimized crystal structure of HoGa2Ni3.

```
data_HoGa2Ni3
_space_group_name_H-M_alt 'A m m 2'
_space_group_IT_number 38
_cell_length_a 4.093
_cell_length_b 15.159
_cell_length_c 8.733
_cell_angle_alpha 90.00
_cell_angle_beta 90.00
_cell_angle_gamma 90.00
loop_
_space_group_symop_operation_xyz
'x,y,z'
'-x,-y,z'
'-x,y,z'
'x,-y,z'
'x,y+1/2,z+1/2'
'-x,-y+1/2,z+1/2'
'-x,y+1/2,z+1/2'
'x,-y+1/2,z+1/2'
loop_
_atom_site_label
_atom_site_type_symbol
_atom_site_fract_x
_atom_site_fract_y
_atom_site_fract_z
Ho1 Ho 0.000 0.000 0.000
Ho2 Ho 0.500 0.167 0.500
Ga1 Ga 0.000 0.000 0.515
Ga2 Ga 0.000 0.243 0.243
Ga3 Ga 0.500 0.000 0.271
Ga4 Ga 0.500 0.136 0.864
Ni1 Ni 0.000 0.088 0.283
Ni2 Ni 0.000 0.097 0.726
Ni3 Ni 0.000 0.185 0.992
Ni4 Ni 0.500 0.000 0.705
Ni5 Ni 0.500 0.148 0.148
```

Properties
Energy of formation in eV per atom: -0.561



(9)
VASP calculation (GGA-PBE) on an optimized crystal structure of Na2SbAs.

```
data_Na2SbAs
_space_group_name_H-M_alt 'P 1 21/c 1'
_space_group_IT_number 14
_cell_length_a 6.624
_cell_length_b 6.152
_cell_length_c 12.175
_cell_angle_alpha 90.00
_cell_angle_beta 117.16
_cell_angle_gamma 90.00
loop_
_space_group_symop_operation_xyz
'x,y,z'
'-x,-y,-z'
'-x,y+1/2,-z+1/2'
'x,-y+1/2,z+1/2'
loop_
_atom_site_label
_atom_site_type_symbol
_atom_site_fract_x
_atom_site_fract_y
_atom_site_fract_z
Na1 Na 0.228 0.109 0.331
Na2 Na 0.228 0.664 0.532
Sb1 Sb 0.316 0.606 0.292
As1 As 0.301 0.160 0.611
```

Properties
Energy of formation in eV per atom: -0.335